[1]
The following is a DFT calculation (GGA-PBE) of an optimized crystal structure of Na10Mg3Zr5P12O48.

Cell and atoms, written as extended XYZ:
```
234
Lattice="9.014 0.000 0.000 -0.001 15.598 0.000 -0.008 -0.009 22.855" Properties=species:S:1:pos:R:3 pbc="T T T"
Na 0.000 0.000 0.000
Na 9.008 5.194 15.298
Na 0.126 9.911 22.852
Na 0.149 15.107 15.320
Na 1.214 2.070 11.432
Na 1.218 7.313 3.874
Na 1.374 12.993 3.854
Na 1.718 2.225 3.872
Na 2.830 10.115 9.593
Na 2.937 4.911 5.789
Na 2.928 4.910 17.251
Na 2.962 10.130 21.119
Na 2.986 15.238 13.324
Na 3.038 15.297 1.916
Na 4.169 2.217 15.301
Na 4.506 12.995 15.295
Na 4.665 7.309 15.304
Na 5.722 9.870 11.431
Na 5.729 15.118 3.862
Na 5.859 10.406 19.139
Na 5.889 5.193 3.868
Na 6.216 10.022 3.859
Na 6.251 15.216 19.123
Na 7.339 2.315 9.594
Na 7.385 7.453 1.917
Na 7.419 2.449 21.108
Na 7.442 12.710 5.781
Na 7.491 7.437 13.325
Na 7.560 12.701 17.352
Na 8.662 10.018 15.295
Mg 2.875 10.113 12.868
Mg 2.909 15.304 16.799
Mg 2.940 15.311 5.358
Mg 3.019 10.129 1.450
Mg 7.379 2.314 12.872
Mg 7.397 2.354 1.450
Mg 7.447 7.513 5.357
Mg 7.453 7.497 16.790
Mg 7.499 12.694 20.546
Zr 2.858 10.099 17.595
Zr 2.929 4.907 20.502
Zr 2.943 4.912 2.247
Zr 2.953 4.923 9.027
Zr 2.954 4.930 13.672
Zr 2.949 10.109 6.175
Zr 2.969 15.265 9.885
Zr 2.963 15.273 21.339
Zr 7.413 7.466 21.362
Zr 7.421 12.712 2.225
Zr 7.456 2.314 6.174
Zr 7.450 12.731 13.685
Zr 7.461 12.722 9.028
Zr 7.478 7.468 9.886
Zr 7.482 2.349 17.599
P 0.263 4.884 11.417
P 0.281 15.260 18.982
P 0.307 10.086 3.726
P 1.062 7.505 7.521
P 1.075 2.285 15.141
P 1.083 12.670 22.810
P 1.562 2.595 22.835
P 1.596 7.844 15.170
P 1.621 13.038 7.517
P 1.633 1.984 7.557
P 1.621 7.248 22.840
P 1.649 12.399 15.166
P 4.226 12.399 3.756
P 4.234 1.988 18.944
P 4.259 7.253 11.403
P 4.275 7.852 3.754
P 4.288 13.022 18.954
P 4.302 2.606 11.399
P 4.769 12.683 11.416
P 4.823 2.286 3.756
P 4.815 7.489 18.941
P 5.569 15.304 7.521
P 5.571 10.084 15.178
P 5.608 4.860 22.836
P 6.069 10.418 22.754
P 6.105 0.051 15.202
P 6.129 5.239 7.519
P 6.133 15.031 22.774
P 6.140 9.783 7.558
P 6.159 4.596 15.175
P 8.719 9.805 18.998
P 8.737 4.597 3.748
P 8.764 15.050 11.405
P 8.775 5.253 18.957
P 8.787 0.046 3.726
P 8.808 10.408 11.402
O 0.065 2.420 0.080
O 0.066 7.368 22.710
O 0.077 7.641 15.347
O 0.072 12.526 15.067
O 0.083 2.133 7.480
O 0.086 12.874 7.728
O 0.152 2.548 16.380
O 0.146 12.481 21.635
O 0.154 7.681 8.776
O 0.219 12.951 1.265
O 0.228 2.085 13.891
O 0.260 7.312 6.246
O 1.116 15.125 17.711
O 1.144 5.103 12.709
O 1.145 9.882 2.468
O 1.169 15.471 20.254
O 1.229 10.347 4.961
O 1.238 4.718 10.226
O 1.267 9.932 18.899
O 1.293 5.074 19.161
O 1.289 10.261 11.521
O 1.292 15.449 3.921
O 1.305 4.731 3.646
O 1.303 15.181 11.279
O 1.846 11.491 16.431
O 1.857 13.829 6.244
O 1.859 8.725 13.969
O 1.882 6.389 1.267
O 1.915 1.146 8.847
O 1.916 13.999 22.701
O 1.930 3.492 21.630
O 1.955 11.437 0.135
O 1.959 8.774 7.467
O 1.974 6.261 7.736
O 1.976 3.587 15.074
O 1.997 1.065 15.338
O 2.196 3.256 1.262
O 2.205 1.363 6.295
O 2.210 8.658 0.080
O 2.211 6.483 21.635
O 2.225 1.185 22.695
O 2.230 13.734 8.771
O 2.228 13.816 15.352
O 2.253 3.404 7.744
O 2.262 11.623 7.466
O 2.275 6.414 15.077
O 2.274 8.470 16.438
O 2.287 11.736 13.966
O 3.540 1.246 11.276
O 3.597 8.476 5.017
O 3.595 11.740 2.549
O 3.601 6.414 3.649
O 3.633 3.256 12.683
O 3.638 3.400 19.156
O 3.645 13.713 20.195
O 3.651 13.822 3.928
O 3.662 6.487 10.210
O 3.668 8.651 11.516
O 3.663 11.584 18.874
O 3.682 1.387 17.661
O 3.879 1.075 3.930
O 3.884 6.272 19.152
O 3.914 3.588 3.649
O 3.907 13.959 11.285
O 3.926 3.505 10.200
O 3.954 11.403 11.534
O 3.971 1.074 20.178
O 3.963 8.807 18.873
O 4.013 8.727 2.547
O 4.011 6.389 12.696
O 4.026 11.494 5.017
O 4.032 13.853 17.695
O 4.578 4.726 15.071
O 4.589 10.242 0.095
O 4.578 15.153 22.690
O 4.582 15.434 15.351
O 4.593 5.076 7.728
O 4.590 9.933 7.482
O 4.644 4.749 21.625
O 4.661 15.482 8.776
O 4.682 10.339 16.444
O 4.709 9.887 13.934
O 4.736 5.092 1.268
O 4.767 15.111 6.247
O 5.616 7.307 17.661
O 5.648 12.902 12.709
O 5.707 2.065 2.547
O 5.708 2.566 5.016
O 5.730 7.720 20.179
O 5.743 12.516 10.225
O 5.797 7.646 3.926
O 5.801 2.074 18.882
O 5.797 2.461 11.523
O 5.811 7.382 11.279
O 5.808 12.526 3.649
O 5.811 12.859 19.132
O 6.359 3.692 16.439
O 6.365 6.029 6.244
O 6.385 0.943 14.011
O 6.391 14.157 1.220
O 6.402 11.235 21.514
O 6.423 8.945 8.847
O 6.449 6.164 22.700
O 6.473 0.972 7.465
O 6.480 3.637 0.077
O 6.478 11.384 15.081
O 6.481 14.059 7.737
O 6.507 8.865 15.346
O 6.713 9.162 6.295
O 6.735 5.938 8.773
O 6.736 6.017 15.350
O 6.735 14.344 21.550
O 6.763 11.077 1.191
O 6.761 11.202 7.744
O 6.763 0.647 16.497
O 6.773 3.825 7.470
O 6.793 3.935 13.970
O 6.786 14.218 15.082
O 6.820 0.800 0.109
O 6.834 9.029 22.695
O 8.047 9.046 11.276
O 8.062 11.183 19.153
O 8.101 0.715 4.963
O 8.104 14.214 3.652
O 8.108 3.933 2.541
O 8.125 3.831 18.899
O 8.136 9.151 17.738
O 8.138 11.058 12.685
O 8.154 5.941 20.199
O 8.155 6.018 3.921
O 8.173 0.851 11.515
O 8.169 14.285 10.210
O 8.333 14.073 19.139
O 8.381 0.960 18.894
O 8.386 8.870 3.919
O 8.415 6.161 11.286
O 8.412 11.386 3.646
O 8.431 11.303 10.200
O 8.461 3.605 11.532
O 8.457 8.930 20.269
O 8.516 14.185 12.697
O 8.536 3.696 5.012
O 8.546 0.877 2.470
O 8.539 6.021 17.667
```

## Properties
total magnetic moment: 0.00 μB per atom

[2]
The following is a DFT calculation (GGA-PBE) of an optimized crystal structure of HfOs2.

Cell and atoms, written as extended XYZ:
```
12
Lattice="5.216 0.000 0.000 -2.608 4.517 0.000 0.000 0.000 8.560" Properties=species:S:1:pos:R:3 pbc="T T T"
Hf 0.000 3.011 0.567
Hf 0.000 3.011 3.713
Hf 2.608 1.506 4.847
Hf 2.608 1.506 7.993
Os 0.000 0.000 0.000
Os 0.000 0.000 4.280
Os 0.000 1.562 6.420
Os -1.255 3.736 6.420
Os 1.353 0.781 2.140
Os 1.255 3.736 6.420
Os 3.863 0.781 2.140
Os 2.608 2.955 2.140
```

[3]
The following is a DFT calculation (GGA-PBE) of an optimized crystal structure of Tm5Ga3.

Cell and atoms, written as extended XYZ:
```
16
Lattice="4.250 -7.359 0.000 4.250 7.359 0.000 -0.186 0.000 6.399" Properties=species:S:1:pos:R:3 pbc="T T T"
Tm 4.250 5.193 0.000
Tm 4.157 4.669 3.200
Tm 3.065 1.779 4.879
Tm 2.209 0.000 1.734
Tm 3.065 -1.779 4.879
Tm 5.248 1.779 1.521
Tm 6.105 0.000 4.666
Tm 5.248 -1.779 1.521
Tm 4.157 -4.669 3.200
Tm 4.250 -5.193 0.000
Ga 0.680 0.000 4.432
Ga 2.500 2.969 1.371
Ga 5.814 2.969 5.028
Ga 2.500 -2.969 1.371
Ga 5.814 -2.969 5.028
Ga 7.633 0.000 1.967
```

## Properties
polymorph energy (0 for the lowest one): 0 meV per atom

[4]
The following is a DFT calculation (GGA-PBE) of an optimized crystal structure of Na15Ta11ZnSi18O72.

Cell and atoms, written as extended XYZ:
```
117
Lattice="9.003 0.000 0.000 -4.501 7.828 0.000 -0.005 -0.071 22.589" Properties=species:S:1:pos:R:3 pbc="T T T"
Na 0.000 0.000 0.000
Na 4.499 7.790 11.107
Na -2.677 4.896 16.753
Na -1.210 2.550 20.686
Na 0.025 5.125 7.511
Na 2.910 0.154 13.138
Na 0.017 5.214 18.668
Na -1.223 7.805 5.626
Na 1.556 2.974 16.759
Na 1.109 7.623 16.757
Na 4.501 2.595 3.761
Na 4.496 2.562 14.978
Na 3.201 5.149 13.139
Na 5.717 5.215 1.869
Na 7.368 2.398 13.138
Ta 0.017 5.177 4.218
Ta -0.008 5.189 10.733
Ta 0.014 5.177 22.060
Ta 4.476 2.576 0.464
Ta 4.489 2.545 18.340
Ta 4.494 2.574 11.617
Ta 4.515 2.624 7.000
Ta 8.993 -0.021 7.975
Ta 4.495 7.780 14.553
Ta 8.974 0.022 3.244
Ta 4.511 7.730 19.301
Zn -0.004 5.170 15.366
Si -2.613 5.157 13.167
Si -1.275 2.944 1.815
Si 1.275 2.247 5.619
Si 2.605 -0.041 16.917
Si 1.308 2.919 13.163
Si -1.287 7.474 1.863
Si 3.190 0.301 9.324
Si 1.892 2.552 20.669
Si 2.591 5.218 1.840
Si 1.279 7.456 13.165
Si 5.772 0.264 20.666
Si 3.188 4.861 9.345
Si 3.201 5.497 16.919
Si 1.905 7.808 5.616
Si 5.781 4.815 20.699
Si 7.124 2.576 9.349
Si 5.770 5.545 5.583
Si 7.685 2.203 16.944
O -0.690 1.421 18.237
O -3.570 6.521 13.267
O -0.613 1.462 1.983
O -3.480 6.544 6.857
O -1.834 4.772 14.519
O -1.026 3.952 3.088
O -1.590 4.889 20.809
O -0.970 3.925 9.533
O -2.924 7.562 1.976
O 0.612 1.404 13.267
O -0.651 3.652 0.470
O -0.655 3.656 16.907
O 0.616 1.501 6.910
O -2.931 7.629 18.176
O -1.616 5.458 11.896
O -1.592 5.452 5.438
O 0.904 1.250 20.528
O 1.569 0.162 9.220
O 1.021 1.256 4.321
O 1.645 0.225 15.574
O 0.556 3.646 11.895
O -1.018 6.477 0.575
O 0.603 3.726 5.440
O -0.981 6.480 16.893
O 0.907 3.851 20.803
O -0.611 6.659 9.538
O -0.651 6.769 3.195
O 1.254 3.781 14.519
O 3.498 1.220 10.666
O 2.912 2.329 5.750
O 2.890 2.334 21.940
O 3.482 1.357 17.026
O 1.567 4.979 9.536
O 0.594 6.623 20.814
O 3.847 1.034 8.018
O 2.833 2.763 19.328
O 2.928 2.667 12.918
O 1.615 4.999 3.132
O 3.887 1.126 1.673
O 0.560 6.966 14.516
O 0.909 6.504 5.453
O 1.611 5.355 16.889
O 1.619 5.421 0.535
O 1.039 6.440 11.895
O 5.130 0.995 19.324
O 3.505 3.877 8.076
O 3.582 3.909 1.689
O 5.189 1.157 12.917
O 5.408 1.282 5.743
O 3.825 4.134 10.688
O 5.514 1.281 21.923
O 3.974 4.039 17.041
O 2.873 7.583 6.904
O 3.569 6.478 18.177
O 3.589 6.514 1.969
O 2.938 7.602 13.266
O 6.032 2.273 17.030
O 5.110 4.057 5.742
O 7.378 0.193 4.306
O 3.911 6.207 15.579
O 5.139 4.084 22.007
O 3.888 6.324 9.208
O 7.403 0.192 20.519
O 6.183 2.382 10.694
O 5.364 3.879 12.921
O 6.112 2.783 8.080
O 6.086 2.858 1.677
O 5.520 3.846 19.372
O 7.944 1.234 15.602
O 5.145 6.254 4.235
O 8.043 1.239 9.224
O 5.115 6.292 20.529
```

## Properties
total magnetic moment: 0.00 μB per atom

[5]
The following is a DFT calculation (GGA-PBE) of an optimized crystal structure of CrAs.

Cell and atoms, written as extended XYZ:
```
4
Lattice="3.643 0.000 0.000 -1.822 3.155 0.000 0.000 0.000 5.634" Properties=species:S:1:pos:R:3 pbc="T T T"
Cr 0.000 0.000 0.000
Cr 0.000 0.000 2.817
As 0.000 2.104 1.408
As 1.822 1.052 4.225
```

| no. | calculated volume (A^3/atom) | uncorrected energy (eV/cell) |
| --- | --- | --- |
| 1 | 13.73 | -1688.01 |
| 2 | 16.81 | -134.54 |
| 3 | 25.02 | -70.86 |
| 4 | 13.61 | -915.61 |
| 5 | 16.19 | -29.34 |